# 1
A plane-wave DFT calculation with r2SCAN was carried out for a relaxed HoClO crystal.

Computed properties:
As for the calculated total energy: -18.424 eV per atom.

a b c (Å): 3.8510 3.8510 6.6922
angles (deg): 90.00 90.00 90.00
Sites, in units of the cell vectors:
Ho (0.2500, 0.2500, 0.1660)
Ho (0.7500, 0.7500, 0.8340)
Cl (0.2500, 0.2500, 0.6305)
Cl (0.7500, 0.7500, 0.3695)
O (0.2500, 0.7500, 0.0000)
O (0.7500, 0.2500, 0.0000)



# 2
A plane-wave DFT calculation with r2SCAN was carried out for a relaxed Tb2NiSb4 crystal.

Computed properties:
As for the calculated total energy: -26.167 eV per atom.

a b c (Å): 4.3150 4.3150 9.3888
angles (deg): 90.00 90.00 90.00
Sites, in units of the cell vectors:
Tb (0.0000, 0.5000, 0.2353)
Tb (0.5000, 0.0000, 0.7647)
Ni (0.0000, 0.0000, 0.0000)
Sb (0.0000, 0.0000, 0.5000)
Sb (0.0000, 0.5000, 0.8729)
Sb (0.5000, 0.0000, 0.1271)
Sb (0.5000, 0.5000, 0.5000)



# 3
A plane-wave DFT calculation with r2SCAN was carried out for a relaxed Sm2NiSn4 crystal.

Computed properties:
As for the calculated total energy: -25.011 eV per atom.

a b c (Å): 17.0528 4.4736 8.9205
angles (deg): 90.00 90.00 90.00
Sites, in units of the cell vectors:
Sm (0.1462, 0.2500, 0.1110)
Sm (0.1480, 0.2500, 0.6320)
Sm (0.3520, 0.7500, 0.1320)
Sm (0.3538, 0.7500, 0.6110)
Sm (0.6462, 0.2500, 0.3890)
Sm (0.6480, 0.2500, 0.8680)
Sm (0.8520, 0.7500, 0.3680)
Sm (0.8538, 0.7500, 0.8890)
Ni (0.0610, 0.7500, 0.8537)
Ni (0.4390, 0.2500, 0.3537)
Ni (0.5610, 0.7500, 0.6463)
Ni (0.9390, 0.2500, 0.1463)
Sn (0.0083, 0.2500, 0.3915)
Sn (0.0082, 0.7500, 0.1277)
Sn (0.1787, 0.7500, 0.3716)
Sn (0.2079, 0.7500, 0.8700)
Sn (0.2921, 0.2500, 0.3700)
Sn (0.3213, 0.2500, 0.8716)
Sn (0.4918, 0.2500, 0.6277)
Sn (0.4917, 0.7500, 0.8915)
Sn (0.5083, 0.2500, 0.1085)
Sn (0.5082, 0.7500, 0.3723)
Sn (0.6787, 0.7500, 0.1284)
Sn (0.7079, 0.7500, 0.6300)
Sn (0.7921, 0.2500, 0.1300)
Sn (0.8213, 0.2500, 0.6284)
Sn (0.9918, 0.2500, 0.8723)
Sn (0.9917, 0.7500, 0.6085)



# 4
A plane-wave DFT calculation with r2SCAN was carried out for a relaxed Yb3Pb crystal.

Computed properties:
As for the calculated total energy: -41.794 eV per atom.

a b c (Å): 6.7344 6.7344 5.5381
angles (deg): 90.00 90.00 120.00
Sites, in units of the cell vectors:
Yb (0.1681, 0.3361, 0.2500)
Yb (0.1681, 0.8319, 0.2500)
Yb (0.3361, 0.1681, 0.7500)
Yb (0.6639, 0.8319, 0.2500)
Yb (0.8319, 0.1681, 0.7500)
Yb (0.8319, 0.6639, 0.7500)
Pb (0.3333, 0.6667, 0.7500)
Pb (0.6667, 0.3333, 0.2500)



# 5
A plane-wave DFT calculation with r2SCAN was carried out for a relaxed UPt2 crystal.

Computed properties:
As for the calculated total energy: -61.915 eV per atom.

a b c (Å): 5.3994 5.3994 5.7117
angles (deg): 90.00 90.00 134.74
Sites, in units of the cell vectors:
U (0.1751, 0.8249, 0.7500)
U (0.8249, 0.1751, 0.2500)
Pt (0.1296, 0.8704, 0.2500)
Pt (0.5000, 0.5000, 0.0000)
Pt (0.5000, 0.5000, 0.5000)
Pt (0.8704, 0.1296, 0.7500)



# 6
A plane-wave DFT calculation with r2SCAN was carried out for a relaxed V3O5F crystal.

Computed properties:
The calculation puts the energy relative to the lowest polymorph listed for this composition at 0.02 eV/f.u.

a b c (Å): 8.6961 4.5786 4.5786
angles (deg): 87.95 90.00 90.00
Sites, in units of the cell vectors:
V (0.0000, 0.9998, 0.9998)
V (0.1524, 0.5000, 0.5000)
V (0.3303, 0.0360, 0.0360)
V (0.5000, 0.4956, 0.4956)
V (0.6697, 0.0360, 0.0360)
V (0.8476, 0.5000, 0.5000)
O (0.0000, 0.3022, 0.3022)
O (0.0000, 0.7103, 0.7103)
O (0.1695, 0.2137, 0.8102)
O (0.1695, 0.8102, 0.2137)
O (0.3306, 0.3174, 0.3174)
O (0.5000, 0.2165, 0.8148)
O (0.5000, 0.8148, 0.2165)
O (0.6694, 0.3174, 0.3174)
O (0.8305, 0.2137, 0.8102)
O (0.8305, 0.8102, 0.2137)
F (0.3302, 0.7119, 0.7119)
F (0.6698, 0.7119, 0.7119)